Entry 1:
This record from Materials Project describes Li9V12Cr7O48 after structural relaxation. The functional is PBE+U.

Output
- Magnetization: 0.20 μB/atom
- Raw total energy: -7.057 eV per atom
- Space group: P1 (1)
- Energy relative to the elements: -172.464 eV/f.u.

The structure in POSCAR format:
```
Li9V12Cr7O48
1.0
5.034 0.000 0.000
0.015 10.216 0.000
0.154 0.029 17.135
Li V Cr O
9 12 7 48
direct
0.000 0.000 0.000
0.001 0.337 0.000
0.498 0.670 0.229
0.500 0.338 0.557
0.501 0.170 0.721
0.649 0.169 0.277
0.845 0.669 0.778
0.991 0.673 0.331
0.998 0.837 0.498
0.033 0.392 0.686
0.034 0.945 0.682
0.035 0.669 0.972
0.462 0.169 0.086
0.463 0.891 0.371
0.464 0.444 0.374
0.520 0.948 0.871
0.522 0.389 0.872
0.523 0.667 0.584
0.971 0.890 0.183
0.972 0.167 0.472
0.972 0.447 0.183
0.152 0.168 0.279
0.345 0.667 0.777
0.508 0.851 0.056
0.508 0.987 0.551
0.511 0.486 0.055
0.985 0.172 0.826
0.992 0.487 0.503
0.113 0.669 0.873
0.114 0.800 0.732
0.117 0.541 0.736
0.147 0.544 0.240
0.148 0.310 0.494
0.156 0.794 0.238
0.162 0.529 0.409
0.184 0.421 0.103
0.184 0.915 0.102
0.188 0.041 0.494
0.199 0.802 0.400
0.200 0.169 0.026
0.301 0.293 0.822
0.302 0.307 0.658
0.307 0.045 0.819
0.309 0.542 0.562
0.327 0.028 0.649
0.329 0.668 0.036
0.349 0.811 0.562
0.350 0.433 0.958
0.350 0.904 0.957
0.376 0.042 0.321
0.376 0.170 0.186
0.380 0.300 0.325
0.572 0.798 0.819
0.576 0.537 0.821
0.579 0.666 0.685
0.643 0.540 0.316
0.657 0.026 0.066
0.658 0.312 0.066
0.661 0.930 0.457
0.663 0.800 0.313
0.669 0.803 0.147
0.670 0.532 0.149
0.676 0.413 0.454
0.681 0.155 0.534
0.807 0.035 0.894
0.808 0.301 0.897
0.813 0.654 0.524
0.821 0.914 0.605
0.828 0.800 0.994
0.830 0.537 0.994
0.832 0.293 0.745
0.840 0.428 0.602
0.847 0.046 0.741
0.914 0.166 0.372
0.919 0.039 0.232
0.924 0.297 0.234
```

=====

Entry 2:
This record from Materials Project describes LiMnSiO4 after structural relaxation. The functional is PBE+U.

Output
- Magnetization: 0.57 μB/atom
- Raw total energy: -7.192 eV per atom
- Space group: P2_1 (4)
- ΔE to the lowest computed polymorph: 0 meV/atom
- Energy relative to the elements: -18.471 eV/f.u.

The structure in POSCAR format:
```
LiMnSiO4
1.0
4.811 0.000 0.000
0.000 10.044 0.000
-0.003 0.000 6.027
Li Mn Si O
4 4 4 16
direct
0.247 0.000 0.236
0.251 0.994 0.735
0.749 0.494 0.265
0.753 0.500 0.764
0.230 0.271 0.003
0.269 0.722 0.501
0.731 0.222 0.499
0.770 0.771 0.997
0.186 0.403 0.521
0.316 0.590 0.020
0.684 0.090 0.980
0.814 0.903 0.479
0.020 0.323 0.317
0.023 0.101 0.989
0.033 0.337 0.742
0.066 0.557 0.512
0.435 0.436 0.016
0.468 0.658 0.240
0.476 0.893 0.487
0.481 0.668 0.814
0.519 0.168 0.186
0.524 0.393 0.513
0.532 0.158 0.760
0.565 0.936 0.984
0.934 0.057 0.488
0.967 0.837 0.258
0.977 0.601 0.011
0.980 0.823 0.683
```

=====

Entry 3:
This record from Materials Project describes Mn3AlSi3O12 after structural relaxation. The functional is PBE+U.

Output
- Magnetization: 0.63 μB/atom
- Raw total energy: -7.482 eV per atom
- Space group: Ia-3 (206)
- Energy relative to the elements: -48.527 eV/f.u.

The structure in POSCAR format:
```
Mn3AlSi3O12
1.0
-5.826 5.826 5.826
5.826 -5.826 5.826
5.826 5.826 -5.826
Mn Al Si O
12 4 12 48
direct
0.108 0.358 0.750
0.142 0.250 0.392
0.250 0.392 0.142
0.250 0.892 0.642
0.358 0.750 0.108
0.392 0.142 0.250
0.608 0.858 0.750
0.642 0.250 0.892
0.750 0.108 0.358
0.750 0.608 0.858
0.858 0.750 0.608
0.892 0.642 0.250
0.000 0.000 0.000
0.000 0.500 0.500
0.500 0.000 0.500
0.500 0.500 0.000
0.121 0.750 0.871
0.129 0.879 0.250
0.250 0.129 0.879
0.250 0.629 0.379
0.371 0.621 0.750
0.379 0.250 0.629
0.621 0.750 0.371
0.629 0.379 0.250
0.750 0.371 0.621
0.750 0.871 0.121
0.871 0.121 0.750
0.879 0.250 0.129
0.018 0.201 0.123
0.028 0.302 0.894
0.077 0.701 0.682
0.092 0.866 0.394
0.105 0.623 0.423
0.106 0.972 0.698
0.123 0.018 0.201
0.134 0.606 0.908
0.182 0.482 0.605
0.198 0.226 0.592
0.201 0.123 0.018
0.226 0.592 0.198
0.274 0.472 0.366
0.299 0.318 0.923
0.302 0.894 0.028
0.318 0.923 0.299
0.366 0.274 0.472
0.377 0.577 0.895
0.394 0.092 0.866
0.395 0.818 0.518
0.408 0.802 0.774
0.423 0.105 0.623
0.472 0.366 0.274
0.482 0.605 0.182
0.518 0.395 0.818
0.528 0.634 0.726
0.577 0.895 0.377
0.592 0.198 0.226
0.605 0.182 0.482
0.606 0.908 0.134
0.623 0.423 0.105
0.634 0.726 0.528
0.682 0.077 0.701
0.698 0.106 0.972
0.701 0.682 0.077
0.726 0.528 0.634
0.774 0.408 0.802
0.799 0.877 0.982
0.802 0.774 0.408
0.818 0.518 0.395
0.866 0.394 0.092
0.877 0.982 0.799
0.894 0.028 0.302
0.895 0.377 0.577
0.908 0.134 0.606
0.923 0.299 0.318
0.972 0.698 0.106
0.982 0.799 0.877
```

=====

Entry 4:
This record from Materials Project describes K2CoH12S2O14 after structural relaxation. The functional is PBE+U.

Output
- Magnetization: 0.10 μB/atom
- Raw total energy: -5.356 eV per atom
- Space group: P2_1/c (14)
- Energy relative to the elements: -49.711 eV/f.u.

The structure in POSCAR format:
```
K2CoH12S2O14
1.0
6.259 0.000 0.000
0.000 12.316 0.000
-2.257 0.000 8.816
K Co H S O
4 2 24 4 28
direct
0.155 0.153 0.369
0.155 0.347 0.869
0.845 0.653 0.131
0.845 0.847 0.631
0.500 0.000 0.000
0.500 0.500 0.500
0.166 0.561 0.606
0.166 0.939 0.106
0.173 0.643 0.471
0.173 0.857 0.971
0.177 0.091 0.784
0.177 0.409 0.284
0.408 0.125 0.750
0.408 0.375 0.250
0.425 0.602 0.224
0.425 0.898 0.724
0.499 0.691 0.352
0.499 0.809 0.852
0.501 0.191 0.148
0.501 0.309 0.648
0.575 0.102 0.276
0.575 0.398 0.776
0.592 0.625 0.750
0.592 0.875 0.250
0.823 0.591 0.716
0.823 0.909 0.216
0.827 0.143 0.029
0.827 0.357 0.529
0.834 0.061 0.894
0.834 0.439 0.394
0.225 0.638 0.907
0.225 0.862 0.407
0.775 0.138 0.593
0.775 0.362 0.093
0.083 0.736 0.904
0.083 0.764 0.404
0.112 0.565 0.780
0.112 0.935 0.280
0.206 0.567 0.507
0.206 0.933 0.007
0.249 0.579 0.052
0.249 0.921 0.552
0.332 0.113 0.832
0.332 0.387 0.332
0.447 0.671 0.887
0.447 0.829 0.387
0.467 0.116 0.177
0.467 0.384 0.677
0.533 0.616 0.323
0.533 0.884 0.823
0.553 0.171 0.613
0.553 0.329 0.113
0.668 0.613 0.668
0.668 0.887 0.168
0.751 0.079 0.448
0.751 0.421 0.948
0.794 0.067 0.993
0.794 0.433 0.493
0.888 0.065 0.720
0.888 0.435 0.220
0.917 0.236 0.596
0.917 0.264 0.096
```

=====

Entry 5:
This record from Materials Project describes Ba3WCl2O5 after structural relaxation. The functional is PBE+U.

Output
- Magnetization: 0.00 μB/atom
- Raw total energy: -6.367 eV per atom
- Space group: Cmcm (63)
- Energy relative to the elements: -30.760 eV/f.u.

The structure in POSCAR format:
```
Ba3WCl2O5
1.0
2.959 -7.015 0.000
2.959 7.015 0.000
0.000 0.000 11.714
Ba W Cl O
6 2 4 10
direct
0.091 0.909 0.750
0.346 0.654 0.544
0.346 0.654 0.956
0.654 0.346 0.044
0.654 0.346 0.456
0.909 0.091 0.250
0.246 0.754 0.250
0.754 0.246 0.750
0.000 0.000 0.000
0.000 0.000 0.500
0.496 0.504 0.250
0.504 0.496 0.750
0.057 0.495 0.136
0.057 0.495 0.364
0.119 0.881 0.250
0.495 0.057 0.636
0.495 0.057 0.864
0.505 0.943 0.136
0.505 0.943 0.364
0.881 0.119 0.750
0.943 0.505 0.636
0.943 0.505 0.864
```

=====

> Which formula does entry 1 have?

Li9V12Cr7O48